An optimized crystal structure of CdC2S2I2N4, computed with PBE.

Output
Energy (Ha/atom): -0.1882
Energy relative to the lowest polymorph listed for this composition (eV per formula unit): 2.23
Energy of formation (meV per atom): 570

abc: 6.1064 11.0623 16.1362
angles: 94.76 90.00 90.00
Closest atoms and distances in Å follow each position.
Atoms (fractional coordinates):
Cd 0.5414 0.7566 0.3220  1 N 2.27
Cd 0.0414 0.2434 0.1780  1 N 2.27
Cd 0.4586 0.2434 0.6780  1 N 2.27
Cd 0.9586 0.7566 0.8220  1 N 2.27
C 0.4230 0.8695 0.1651  2 N 1.30-1.31
C 0.9230 0.1305 0.3349  2 N 1.30-1.31
C 0.5770 0.1305 0.8349  2 N 1.30-1.31
C 0.0770 0.8695 0.6651  2 N 1.30-1.31
C 0.6033 0.7407 0.6168  2 N 1.19-1.30
C 0.1033 0.2593 0.8832  2 N 1.19-1.30
C 0.3967 0.2593 0.3832  2 N 1.19-1.30
C 0.8967 0.7407 0.1168  2 N 1.19-1.30
S 0.4801 0.9776 0.2553  1 C 1.84
S 0.9801 0.0224 0.2447  1 C 1.84
S 0.5199 0.0224 0.7447  1 C 1.84
S 0.0199 0.9776 0.7553  1 C 1.84
S 0.4862 0.8327 0.4835  1 N 1.63
S 0.9862 0.1673 0.0165  1 N 1.63
S 0.5138 0.1673 0.5165  1 N 1.63
S 0.0138 0.8327 0.9835  1 N 1.63
I 0.1281 0.7079 0.4268  1 S 2.70
I 0.6281 0.2921 0.0732  1 S 2.70
I 0.8719 0.2921 0.5732  1 S 2.70
I 0.3719 0.7079 0.9268  1 S 2.70
I 0.7674 0.5422 0.3467  1 Cd 2.80, 1 I 3.08
I 0.2674 0.4578 0.1533  1 Cd 2.80, 1 I 3.08
I 0.2326 0.4578 0.6533  1 Cd 2.80, 1 I 3.08
I 0.7326 0.5422 0.8467  1 Cd 2.80, 1 I 3.08
N 0.4153 0.7598 0.1901  1 C 1.31
N 0.9153 0.2402 0.3099  1 C 1.31
N 0.5847 0.2402 0.8099  1 C 1.31
N 0.0847 0.7598 0.6901  1 C 1.31
N 0.3989 0.9132 0.0931  1 C 1.30
N 0.8989 0.0868 0.4069  1 C 1.30
N 0.6011 0.0868 0.9069  1 C 1.30
N 0.1011 0.9132 0.5931  1 C 1.30
N 0.5974 0.7354 0.6901  1 C 1.19
N 0.0974 0.2646 0.8099  1 C 1.19
N 0.4026 0.2646 0.3099  1 C 1.19
N 0.9026 0.7354 0.1901  1 C 1.19
N 0.6326 0.7437 0.5373  1 C 1.30
N 0.1326 0.2563 0.9627  1 C 1.30
N 0.3674 0.2563 0.4627  1 C 1.30
N 0.8674 0.7437 0.0373  1 C 1.30

An optimized crystal structure of Er4Co, computed with PBE.

Output
Energy (Ha/atom): -0.1755
Energy of formation (meV per atom): 299

abc: 7.3986 7.3986 7.3986
angles: 60.00 60.00 60.00
Closest atoms and distances in Å follow each position.
Atoms (fractional coordinates):
Er 0.3855 0.3855 0.3855  1 Co 2.46
Er 0.3855 0.3855 0.8435  1 Co 2.46
Er 0.3855 0.8435 0.3855  1 Co 2.46
Er 0.8645 0.8645 0.4065  1 Co 2.46
Er 0.8645 0.8645 0.8645  1 Co 2.46
Er 0.8435 0.3855 0.3855  1 Co 2.46
Er 0.8645 0.4065 0.8645  1 Co 2.46
Er 0.4065 0.8645 0.8645  1 Co 2.46
Co 0.0000 0.0000 0.0000  4 Er 2.46
Co 0.2500 0.2500 0.2500  4 Er 2.46

An optimized crystal structure of Ga6AgSb7Te8Cl24, computed with PBE.

Output
Energy (Ha/atom): -0.1240
Energy of formation (meV per atom): -1098

abc: 11.9763 12.4533 12.6979
angles: 112.30 111.57 100.80
Closest atoms and distances in Å follow each position.
Atoms (fractional coordinates):
Ga 0.9708 0.7917 0.2109  4 Cl 2.17-2.24
Ga 0.0298 0.2078 0.7868  4 Cl 2.17-2.23
Ga 0.6217 0.3359 0.7594  4 Cl 2.19-2.24
Ga 0.3800 0.6662 0.2404  4 Cl 2.18-2.22
Ga 0.0806 0.2858 0.3876  4 Cl 2.18-2.22
Ga 0.9195 0.7141 0.6126  4 Cl 2.18-2.22
Ag 0.0204 0.4756 0.0263  2 Cl 2.57-2.58
Sb 0.6471 0.7290 0.9083  3 Te 2.89-2.98, 1 Cl 3.17
Sb 0.3543 0.2704 0.0924  3 Te 2.88-2.97, 1 Cl 3.18
Sb 0.5000 0.9998 0.9999  6 Te 3.06-3.07
Sb 0.6452 0.9602 0.7450  3 Te 2.89-2.91
Sb 0.3544 0.0395 0.2552  3 Te 2.89-2.91
Sb 0.2939 0.6986 0.6367  3 Te 2.88-2.92, 1 Cl 3.23
Sb 0.7062 0.3017 0.3640  3 Te 2.89-2.92, 1 Cl 3.22
Te 0.3981 0.9662 0.7248  3 Sb 2.89-3.07
Te 0.6018 0.0339 0.2752  3 Sb 2.89-3.07
Te 0.5364 0.6904 0.6389  3 Sb 2.90-2.98
Te 0.4638 0.3096 0.3615  3 Sb 2.91-2.97
Te 0.7570 0.9959 0.0072  3 Sb 2.89-3.06
Te 0.2427 0.0038 0.9929  3 Sb 2.88-3.06
Te 0.6077 0.2851 0.1116  3 Sb 2.89-3.07
Te 0.3926 0.7150 0.8887  3 Sb 2.88-3.06
Cl 0.1219 0.1631 0.2391  1 Ga 2.22
Cl 0.8781 0.8372 0.7609  1 Ga 2.22
Cl 0.2714 0.4147 0.5634  1 Ga 2.22
Cl 0.7286 0.5853 0.4367  1 Ga 2.22
Cl 0.9674 0.7936 0.0370  1 Ga 2.20
Cl 0.0322 0.2093 0.9634  1 Ga 2.23
Cl 0.9558 0.1765 0.4302  1 Ga 2.18
Cl 0.0441 0.8235 0.5699  1 Ga 2.18
Cl 0.5231 0.4259 0.8599  1 Ga 2.19
Cl 0.4771 0.5737 0.1404  1 Ga 2.18
Cl 0.9425 0.5975 0.1811  1 Ga 2.24
Cl 0.0563 0.4040 0.8271  1 Ga 2.23
Cl 0.1501 0.9300 0.3859  1 Ga 2.17
Cl 0.8497 0.0694 0.6140  1 Ga 2.17
Cl 0.7515 0.2764 0.8844  1 Ga 2.24
Cl 0.2478 0.7229 0.1159  1 Ga 2.22
Cl 0.7305 0.4654 0.7216  1 Ga 2.19
Cl 0.2663 0.5341 0.2746  1 Ga 2.21
Cl 0.9788 0.3929 0.3147  1 Ga 2.20
Cl 0.0214 0.6070 0.6852  1 Ga 2.20
Cl 0.4851 0.1591 0.5761  1 Ga 2.21
Cl 0.5154 0.8409 0.4250  1 Ga 2.21
Cl 0.7915 0.8190 0.2095  1 Ga 2.23
Cl 0.2086 0.1801 0.7903  1 Ga 2.22

An optimized crystal structure of USi2O2, computed with PBE.

Output
Energy (Ha/atom): -0.2655
Energy of formation (meV per atom): -1091

abc: 9.4374 9.4374 9.4374
angles: 126.66 126.66 78.80
Closest atoms and distances in Å follow each position.
Atoms (fractional coordinates):
U 0.8750 0.1250 0.2500  2 O 2.04
U 0.8750 0.6250 0.7500  2 O 2.04
U 0.3750 0.1250 0.2500  2 O 2.04
U 0.8750 0.1250 0.7500  2 O 2.04
Si 0.6309 0.3640 0.7331  1 O 1.70
Si 0.6309 0.8979 0.2669  1 O 1.70
Si 0.6479 0.8809 0.7669  1 O 1.70
Si 0.1191 0.3521 0.2331  1 O 1.70
Si 0.1191 0.8860 0.7669  1 O 1.70
Si 0.1140 0.8809 0.2331  1 O 1.70
Si 0.1021 0.3691 0.7331  1 O 1.70
Si 0.6360 0.3691 0.2669  1 O 1.70
O 0.7391 0.5457 0.8067  1 Si 1.70
O 0.7391 0.9324 0.1933  1 Si 1.70
O 0.6824 0.9891 0.6933  1 Si 1.70
O 0.0109 0.3176 0.3067  1 Si 1.70
O 0.0109 0.7043 0.6933  1 Si 1.70
O 0.2957 0.9891 0.3067  1 Si 1.70
O 0.0676 0.2609 0.8067  1 Si 1.70
O 0.4543 0.2609 0.1933  1 Si 1.70

An optimized crystal structure of CeSe2, computed with PBE.

Output
Energy (Ha/atom): -0.1985
Energy of formation (meV per atom): -1408

abc: 8.3124 8.4992 11.2227
angles: 90.00 90.00 90.00
Closest atoms and distances in Å follow each position.
Atoms (fractional coordinates):
Ce 0.0000 0.5521 0.8750  4 Se 2.72
Ce 0.5000 0.4479 0.1250  4 Se 2.72
Ce 0.5000 0.9479 0.3750  4 Se 2.72
Ce 0.0000 0.0521 0.6250  4 Se 2.72
Se 0.3171 0.5279 0.9330  2 Ce 2.72
Se 0.8171 0.4721 0.0670  2 Ce 2.72
Se 0.8171 0.9721 0.4330  2 Ce 2.72
Se 0.3171 0.0279 0.5670  2 Ce 2.72
Se 0.4330 0.6468 0.3087  2 Ce 2.72
Se 0.9330 0.3532 0.6913  2 Ce 2.72
Se 0.9330 0.8532 0.8087  2 Ce 2.72
Se 0.4330 0.1468 0.1913  2 Ce 2.72

An optimized crystal structure of Zr5N5O2, computed with PBE.

Output
Energy (Ha/atom): -0.3602
Energy of formation (meV per atom): -2056

abc: 5.5235 5.5235 9.2596
angles: 74.94 74.94 32.80
Closest atoms and distances in Å follow each position.
Atoms (fractional coordinates):
Zr 0.8860 0.8860 0.4230  1 O 2.20, 5 N 2.21-2.25
Zr 0.2989 0.2989 0.8060  2 O 2.25, 5 N 2.32-2.45
Zr 0.7011 0.7011 0.1940  2 O 2.25, 5 N 2.32-2.45
Zr 0.1140 0.1140 0.5770  1 O 2.20, 5 N 2.21-2.25
Zr 0.0000 0.0000 0.0000  2 O 2.15, 4 N 2.23
N 0.5000 0.5000 0.5000  4 Zr 2.21
N 0.3439 0.3439 0.0525  5 Zr 2.23-2.45
N 0.2622 0.2622 0.3517  5 Zr 2.25-2.34
N 0.7378 0.7378 0.6483  5 Zr 2.25-2.34
N 0.6561 0.6561 0.9475  5 Zr 2.23-2.45
O 0.9553 0.9553 0.7870  4 Zr 2.15-2.25
O 0.0447 0.0447 0.2130  4 Zr 2.15-2.25

An optimized crystal structure of CrN2, computed with PBE.

Output
Energy (Ha/atom): -0.3167
Energy of formation (meV per atom): -82

abc: 8.0815 15.3157 20.3596
angles: 90.00 90.00 90.00
Closest atoms and distances in Å follow each position.
Atoms (fractional coordinates):
Cr 0.5000 0.5000 0.3449  4 N 1.72-1.73
Cr 0.0000 0.0000 0.1551  4 N 1.72-1.73
Cr 0.5000 0.5000 0.6551  4 N 1.72-1.73
Cr 0.0000 0.0000 0.8449  4 N 1.72-1.73
Cr 0.2085 0.4995 0.2257  4 N 1.72-1.74
Cr 0.7915 0.5005 0.2257  4 N 1.72-1.74
Cr 0.7085 0.0005 0.2743  4 N 1.72-1.74
Cr 0.2915 0.9995 0.2743  4 N 1.72-1.74
Cr 0.7915 0.5005 0.7743  4 N 1.72-1.74
Cr 0.2085 0.4995 0.7743  4 N 1.72-1.74
Cr 0.2915 0.9995 0.7257  4 N 1.72-1.74
Cr 0.7085 0.0005 0.7257  4 N 1.72-1.74
Cr 0.4879 0.7001 0.4165  4 N 1.72-1.74
Cr 0.5121 0.2999 0.4165  4 N 1.72-1.74
Cr 0.9879 0.7999 0.0835  4 N 1.72-1.74
Cr 0.0121 0.2001 0.0835  4 N 1.72-1.74
Cr 0.5121 0.2999 0.5835  4 N 1.72-1.74
Cr 0.4879 0.7001 0.5835  4 N 1.72-1.74
Cr 0.0121 0.2001 0.9165  4 N 1.72-1.74
Cr 0.9879 0.7999 0.9165  4 N 1.72-1.74
Cr 0.2777 0.6995 0.1692  4 N 1.71-1.75
Cr 0.7223 0.3005 0.1692  4 N 1.71-1.75
Cr 0.7777 0.8005 0.3308  4 N 1.71-1.75
Cr 0.2223 0.1995 0.3308  4 N 1.71-1.75
Cr 0.7223 0.3005 0.8308  4 N 1.71-1.75
Cr 0.2777 0.6995 0.8308  4 N 1.71-1.75
Cr 0.2223 0.1995 0.6692  4 N 1.71-1.75
Cr 0.7777 0.8005 0.6692  4 N 1.71-1.75
Cr 0.3066 0.2939 0.8190  4 N 1.71-1.74
Cr 0.6934 0.7061 0.8190  4 N 1.71-1.74
Cr 0.8066 0.2061 0.6810  4 N 1.71-1.74
Cr 0.1934 0.7939 0.6810  4 N 1.71-1.74
Cr 0.6934 0.7061 0.1810  4 N 1.71-1.74
Cr 0.3066 0.2939 0.1810  4 N 1.71-1.74
Cr 0.1934 0.7939 0.3190  4 N 1.71-1.74
Cr 0.8066 0.2061 0.3190  4 N 1.71-1.74
N 0.0000 0.5000 0.2446  2 Cr 1.73
N 0.5000 0.0000 0.2554  2 Cr 1.73
N 0.0000 0.5000 0.7554  2 Cr 1.73
N 0.5000 0.0000 0.7446  2 Cr 1.73
N 0.3243 0.5064 0.2974  2 Cr 1.72-1.74
N 0.6757 0.4936 0.2974  2 Cr 1.72-1.74
N 0.8243 0.9936 0.2026  2 Cr 1.72-1.74
N 0.1757 0.0064 0.2026  2 Cr 1.72-1.74
N 0.6757 0.4936 0.7026  2 Cr 1.72-1.74
N 0.3243 0.5064 0.7026  2 Cr 1.72-1.74
N 0.1757 0.0064 0.7974  2 Cr 1.72-1.74
N 0.8243 0.9936 0.7974  2 Cr 1.72-1.74
N 0.5085 0.5926 0.3939  2 Cr 1.72-1.73
N 0.4915 0.4074 0.3939  2 Cr 1.72-1.73
N 0.0085 0.9074 0.1061  2 Cr 1.72-1.73
N 0.9915 0.0926 0.1061  2 Cr 1.72-1.73
N 0.4915 0.4074 0.6061  2 Cr 1.72-1.73
N 0.5085 0.5926 0.6061  2 Cr 1.72-1.73
N 0.9915 0.0926 0.8939  2 Cr 1.72-1.73
N 0.0085 0.9074 0.8939  2 Cr 1.72-1.73
N 0.5142 0.2831 0.8408  2 Cr 1.71-1.74
N 0.4858 0.7169 0.8408  2 Cr 1.71-1.74
N 0.0142 0.2169 0.6592  2 Cr 1.71-1.74
N 0.9858 0.7831 0.6592  2 Cr 1.71-1.74
N 0.4858 0.7169 0.1592  2 Cr 1.71-1.74
N 0.5142 0.2831 0.1592  2 Cr 1.71-1.74
N 0.9858 0.7831 0.3408  2 Cr 1.71-1.74
N 0.0142 0.2169 0.3408  2 Cr 1.71-1.74
N 0.4571 0.7077 0.5000  2 Cr 1.72
N 0.5429 0.2923 0.5000  2 Cr 1.72
N 0.9571 0.7923 0.0000  2 Cr 1.72
N 0.0429 0.2077 0.0000  2 Cr 1.72
N 0.2200 0.7478 0.2417  2 Cr 1.72-1.74
N 0.7800 0.2522 0.2417  2 Cr 1.72-1.74
N 0.7200 0.7522 0.2583  2 Cr 1.72-1.74
N 0.2800 0.2478 0.2583  2 Cr 1.72-1.74
N 0.7800 0.2522 0.7583  2 Cr 1.72-1.74
N 0.2200 0.7478 0.7583  2 Cr 1.72-1.74
N 0.2800 0.2478 0.7417  2 Cr 1.72-1.74
N 0.7200 0.7522 0.7417  2 Cr 1.72-1.74
N 0.3184 0.7447 0.3755  2 Cr 1.71-1.74
N 0.6816 0.2553 0.3755  2 Cr 1.71-1.74
N 0.8184 0.7553 0.1245  2 Cr 1.71-1.74
N 0.1816 0.2447 0.1245  2 Cr 1.71-1.74
N 0.6816 0.2553 0.6245  2 Cr 1.71-1.74
N 0.3184 0.7447 0.6245  2 Cr 1.71-1.74
N 0.1816 0.2447 0.8755  2 Cr 1.71-1.74
N 0.8184 0.7553 0.8755  2 Cr 1.71-1.74
N 0.3364 0.2422 0.6044  2 Cr 1.73-1.74
N 0.6636 0.7578 0.6044  2 Cr 1.73-1.74
N 0.8364 0.2578 0.8956  2 Cr 1.73-1.74
N 0.1636 0.7422 0.8956  2 Cr 1.73-1.74
N 0.6636 0.7578 0.3956  2 Cr 1.73-1.74
N 0.3364 0.2422 0.3956  2 Cr 1.73-1.74
N 0.1636 0.7422 0.1044  2 Cr 1.73-1.74
N 0.8364 0.2578 0.1044  2 Cr 1.73-1.74
N 0.2458 0.5868 0.1749  2 Cr 1.72-1.75
N 0.7542 0.4132 0.1749  2 Cr 1.72-1.75
N 0.7458 0.9132 0.3251  2 Cr 1.72-1.75
N 0.2542 0.0868 0.3251  2 Cr 1.72-1.75
N 0.7542 0.4132 0.8251  2 Cr 1.72-1.75
N 0.2458 0.5868 0.8251  2 Cr 1.72-1.75
N 0.2542 0.0868 0.6749  2 Cr 1.72-1.75
N 0.7458 0.9132 0.6749  2 Cr 1.72-1.75
N 0.2547 0.4027 0.8145  2 Cr 1.72-1.73
N 0.7453 0.5973 0.8145  2 Cr 1.72-1.73
N 0.7547 0.0973 0.6855  2 Cr 1.72-1.73
N 0.2453 0.9027 0.6855  2 Cr 1.72-1.73
N 0.7453 0.5973 0.1855  2 Cr 1.72-1.73
N 0.2547 0.4027 0.1855  2 Cr 1.72-1.73
N 0.2453 0.9027 0.3145  2 Cr 1.72-1.73
N 0.7547 0.0973 0.3145  2 Cr 1.72-1.73